DFT (GGA+U) results for a relaxed Li3MnPCO7 crystal.

The structure in POSCAR format:
```
Li3MnPCO7
1.0
-2.040 -4.162 -4.599
-4.817 -3.298 6.294
-6.953 7.505 -2.720
C O P Li Mn
4 28 4 12 4
Cartesian
-8.915 -2.962 1.612
-12.390 0.791 0.252
-2.067 0.660 -1.181
-5.543 4.413 -2.541
-5.206 -0.822 1.618
-6.271 0.901 3.120
-8.278 3.501 -5.116
-8.681 2.932 0.257
-9.251 2.270 -2.544
-7.580 0.039 1.188
-6.043 -5.842 2.209
-11.139 0.531 0.051
-3.318 0.925 -0.981
-9.520 -2.090 0.850
-4.801 -0.252 -3.755
-5.775 -1.482 -1.184
-3.400 -2.342 -0.756
-8.885 -0.101 -1.659
-5.410 -3.852 -0.300
-9.047 5.302 -0.628
-4.709 -3.204 -2.687
-4.103 -3.714 2.547
-6.876 1.411 -2.116
-1.466 -0.215 -0.420
-4.943 3.538 -1.780
-5.569 1.548 0.733
-8.185 0.548 -4.047
-9.747 4.654 1.759
-6.794 4.678 -2.342
-9.652 1.704 2.829
-6.177 -2.049 4.189
-7.663 -3.222 1.411
-4.846 -2.727 -1.201
-8.322 1.025 -2.560
-6.135 0.423 1.634
-9.611 4.177 0.273
-5.118 0.316 -1.805
-4.649 -3.319 4.793
-10.755 -0.677 -1.596
-2.853 -2.732 -2.990
-9.217 1.718 -5.290
-5.740 -2.034 -3.930
-9.338 1.136 0.880
-6.329 1.022 -4.349
-8.594 4.069 -3.165
-5.862 -2.618 2.241
-8.126 0.434 3.433
-7.279 -4.430 -0.236
-6.683 2.886 -0.516
-11.251 2.317 -1.771
-3.207 -0.866 0.841
-7.773 -1.439 -0.406
```

Computed properties:
V (Å³ per cell): 586.4
Theoretical density (kg/m³): 2613
Magnetic moment (μB per cell): 0.00
Energy (eV for the cell shown): -356.60
Formation enthalpy at 0 K (eV per atom): -2.420


DFT (GGA+U) results for a relaxed CoH12SO10 crystal.

The structure in POSCAR format:
```
CoH12SO10
1.0
5.023 -3.640 0.000
5.023 3.640 0.000
-3.805 0.000 23.921
Co H S O
4 48 4 40
Cartesian
0.000 0.000 0.000
-1.903 0.000 11.960
2.169 3.233 17.941
4.072 -3.233 5.980
0.879 2.443 15.701
1.818 2.218 10.110
0.347 2.302 21.703
-1.557 1.029 22.722
-0.923 0.754 16.487
0.004 1.598 18.305
-1.599 0.414 20.219
3.197 1.756 7.158
0.304 -0.414 8.259
2.757 0.197 0.088
2.709 1.580 13.586
0.979 -0.754 4.526
1.221 0.986 19.147
2.977 1.259 10.662
1.629 1.580 22.295
0.854 -0.197 12.048
3.992 2.302 14.178
4.947 1.756 4.802
3.460 2.443 20.180
0.346 -1.029 10.761
6.326 2.218 1.850
5.167 1.259 1.298
3.118 0.986 16.734
4.334 1.598 17.576
1.907 -1.598 6.345
3.124 -0.986 7.187
1.074 -1.259 22.623
-0.085 -2.218 22.071
5.895 1.029 13.159
2.781 -2.443 3.741
1.295 -1.756 19.119
2.249 -2.302 9.743
5.387 0.197 11.873
4.612 -1.580 1.626
3.264 -1.259 13.258
5.020 -0.986 4.774
5.262 0.754 19.394
3.532 -1.580 10.335
3.485 -0.197 23.833
5.937 0.414 15.662
3.044 -1.756 16.762
7.840 -0.414 3.701
6.237 -1.598 5.616
7.165 -0.754 7.434
7.798 -1.029 1.199
5.894 -2.302 2.218
4.423 -2.218 13.810
5.363 -2.443 8.220
3.258 0.356 2.938
1.355 -0.356 14.898
4.886 0.356 9.023
2.984 -0.356 20.983
2.749 2.538 6.732
2.560 1.676 2.803
0.268 0.380 7.674
1.184 2.462 22.200
-1.822 0.422 23.449
0.867 1.809 18.731
2.344 1.977 10.912
0.353 0.719 15.188
3.155 2.462 13.681
-1.635 -0.380 19.634
0.081 -0.422 11.489
5.395 2.538 5.228
5.800 1.977 1.049
3.472 1.809 17.150
2.256 -0.719 3.227
3.925 0.040 1.625
2.023 -0.040 13.585
4.265 0.413 4.021
3.879 0.413 7.939
5.584 1.676 9.158
0.657 -1.676 14.763
2.363 -0.413 15.982
1.976 -0.413 19.899
4.218 0.040 10.335
2.316 -0.040 22.296
3.985 0.719 20.693
2.770 -1.809 6.771
0.441 -1.977 22.872
0.847 -2.538 18.692
6.160 0.422 12.432
7.876 0.380 4.286
3.086 -2.462 10.240
5.888 -0.719 8.733
3.898 -1.977 13.009
5.374 -1.809 5.190
8.063 -0.422 0.472
5.057 -2.462 1.720
5.973 -0.380 16.247
3.681 -1.676 21.118
3.492 -2.538 17.189
```

Computed properties:
V (Å³ per cell): 874.7
Theoretical density (kg/m³): 1998
Magnetic moment (μB per cell): 12.00
Energy (eV for the cell shown): -505.59
Formation enthalpy at 0 K (eV per atom): -1.395


DFT (GGA+U) results for a relaxed Li2MnBO4 crystal.

The structure in POSCAR format:
```
Li2MnBO4
1.0
10.234 0.000 0.000
0.000 6.021 0.000
0.000 0.000 4.970
Li Mn B O
8 4 4 16
Cartesian
1.797 0.043 1.183
1.797 2.967 1.183
3.320 3.054 3.668
3.320 5.978 3.668
6.913 0.043 1.302
6.913 2.967 1.302
8.437 3.054 3.787
8.437 5.978 3.787
0.684 4.516 4.127
4.433 1.505 1.642
5.800 4.516 3.328
9.550 1.505 0.843
0.737 1.505 3.495
4.380 4.516 1.010
5.853 1.505 3.960
9.497 4.516 1.475
0.709 4.516 1.095
0.840 1.505 2.034
1.415 0.289 4.079
1.415 2.722 4.079
3.702 3.299 1.594
3.702 5.732 1.594
4.277 4.516 4.519
4.407 1.505 3.580
5.826 4.516 1.390
5.957 1.505 0.451
6.532 0.289 3.376
6.532 2.722 3.376
8.819 3.299 0.891
8.819 5.732 0.891
9.394 4.516 2.936
9.524 1.505 3.875
```

Computed properties:
V (Å³ per cell): 306.2
Theoretical density (kg/m³): 3115
Magnetic moment (μB per cell): 16.00
Energy (eV for the cell shown): -215.00
Formation enthalpy at 0 K (eV per atom): -2.340


DFT (GGA+U) results for a relaxed Fe3O4F2 crystal.

The structure in POSCAR format:
```
Fe3O4F2
1.0
4.687 0.000 0.000
0.208 5.623 0.000
0.151 0.626 7.658
Fe O F
6 8 4
Cartesian
0.000 0.000 0.000
0.210 2.447 5.328
2.460 5.014 5.051
2.454 2.870 0.109
2.525 1.125 2.584
4.811 4.048 2.586
1.006 0.721 5.952
1.061 4.067 0.802
1.692 5.228 3.311
1.688 3.515 6.031
3.334 2.768 1.824
3.937 2.235 7.013
4.000 5.596 1.709
4.013 3.926 4.380
1.077 2.364 3.399
1.426 1.253 0.864
3.551 5.080 6.873
3.386 1.134 4.398
```

Computed properties:
V (Å³ per cell): 201.8
Theoretical density (kg/m³): 4435
Magnetic moment (μB per cell): 28.00
Energy (eV for the cell shown): -109.03
Formation enthalpy at 0 K (eV per atom): -1.769


DFT (GGA+U) results for a relaxed Li6V3P8O29 crystal.

The structure in POSCAR format:
```
Li6V3P8O29
1.0
8.491 -4.932 0.000
8.491 4.932 0.000
-0.234 0.000 13.998
Li V P O
12 6 16 58
Cartesian
8.374 4.874 6.999
9.294 1.912 2.442
12.072 2.756 0.716
8.445 0.672 7.727
13.056 2.045 7.819
8.562 -0.672 0.728
9.177 -1.912 9.441
13.832 0.679 2.471
13.716 -0.679 9.470
13.173 -2.045 0.820
11.955 -2.756 7.715
8.491 -4.874 0.000
6.213 2.784 12.092
2.651 0.643 5.037
2.534 -0.643 12.036
7.478 2.106 5.070
7.362 -2.106 12.069
6.329 -2.784 5.093
5.356 0.031 13.804
5.472 -0.031 6.805
9.072 2.040 13.351
10.403 2.682 6.317
8.318 0.736 10.772
11.891 2.737 3.739
12.984 1.996 10.844
8.435 -0.736 3.773
9.189 -2.040 6.352
13.778 0.688 13.406
10.286 -2.682 13.316
13.894 -0.688 6.407
13.101 -1.996 3.845
11.774 -2.737 10.738
16.687 0.024 10.369
16.803 -0.024 3.370
1.607 0.712 13.185
6.821 3.674 6.149
9.446 4.248 11.017
5.904 2.104 4.135
3.434 0.690 11.008
8.348 3.415 3.864
7.859 2.997 13.121
5.362 1.515 13.190
1.724 -0.712 6.186
4.196 0.705 6.203
6.949 1.408 11.014
3.551 -0.690 4.009
5.527 0.121 1.291
4.079 -0.705 13.202
8.963 2.061 6.339
10.345 2.902 13.390
6.758 0.683 6.288
5.410 -0.121 8.290
8.310 0.815 3.864
11.768 2.894 10.865
11.187 2.437 2.441
9.136 1.195 0.587
8.969 1.136 9.500
10.987 2.115 4.919
11.235 2.230 7.452
9.236 1.100 12.061
6.641 -0.683 13.287
5.478 -1.515 6.191
7.066 -1.408 4.015
5.788 -2.104 11.134
8.193 -0.815 10.863
13.251 2.016 3.826
9.086 -1.136 2.501
9.019 -1.195 7.586
13.349 1.251 0.638
13.167 1.187 9.594
12.858 1.014 12.119
9.353 -1.100 5.062
8.846 -2.061 13.338
13.985 0.849 6.431
6.704 -3.674 13.148
7.976 -2.997 6.122
8.231 -3.415 10.863
15.510 0.702 3.912
10.870 -2.115 11.918
12.975 -1.014 5.120
11.352 -2.230 0.453
13.283 -1.187 2.595
11.070 -2.437 9.440
13.232 -1.251 7.637
10.462 -2.902 6.391
13.868 -0.849 13.430
13.134 -2.016 10.825
15.393 -0.702 10.911
16.830 0.004 1.872
16.713 -0.004 8.871
11.885 -2.894 3.866
9.563 -4.248 4.018
```

Computed properties:
V (Å³ per cell): 1172.4
Theoretical density (kg/m³): 2567
Magnetic moment (μB per cell): 6.00
Energy (eV for the cell shown): -645.90
Formation enthalpy at 0 K (eV per atom): -2.662


DFT (GGA+U) results for a relaxed Li2Ni3O6 crystal.

The structure in POSCAR format:
```
Li2Ni3O6
1.0
2.486 -4.300 0.000
2.486 4.300 0.000
-1.679 0.000 4.839
Li Ni O
2 3 6
Cartesian
2.486 2.832 0.000
2.486 -2.832 0.000
-0.839 0.000 2.419
1.647 1.419 2.419
1.647 -1.419 2.419
-0.057 1.530 3.462
0.770 0.000 1.436
-0.057 -1.530 3.462
3.351 1.530 1.377
2.523 0.000 3.403
3.351 -1.530 1.377
```

Computed properties:
V (Å³ per cell): 103.5
Theoretical density (kg/m³): 4589
Magnetic moment (μB per cell): 2.00
Energy (eV for the cell shown): -53.23
Formation enthalpy at 0 K (eV per atom): -1.284


DFT (GGA+U) results for a relaxed Ca3Cr2O7 crystal.

The structure in POSCAR format:
```
Ca3Cr2O7
1.0
9.652 -2.702 0.000
9.652 2.702 0.000
0.000 0.000 5.419
Ca Cr O
6 4 14
Cartesian
6.064 1.397 3.119
9.652 1.385 2.710
13.241 1.397 3.119
6.064 -1.397 0.410
9.652 -1.385 0.000
13.241 -1.397 0.410
7.747 1.344 0.220
11.558 1.344 0.220
7.747 -1.344 2.930
11.558 -1.344 2.930
3.790 1.051 2.839
1.622 0.249 1.385
1.622 -0.249 4.095
9.652 0.990 0.294
7.517 0.243 1.760
3.790 -1.051 0.130
7.517 -0.243 4.470
11.788 0.243 1.760
15.515 1.051 2.839
11.788 -0.243 4.470
9.652 -0.990 3.003
17.683 0.249 1.385
17.683 -0.249 4.095
15.515 -1.051 0.130
```

Computed properties:
V (Å³ per cell): 282.6
Theoretical density (kg/m³): 3951
Magnetic moment (μB per cell): 0.00
Energy (eV for the cell shown): -168.02
Formation enthalpy at 0 K (eV per atom): -2.738


Q: Which formula does entry 5 have?
A: Li6V3P8O29


Q: The highest formation enthalpy at 0 K belongs to which entry?
A: Li2Ni3O6


Repeat the sixth record exactly.
DFT (GGA+U) results for a relaxed Li2Ni3O6 crystal.

The structure in POSCAR format:
```
Li2Ni3O6
1.0
2.486 -4.300 0.000
2.486 4.300 0.000
-1.679 0.000 4.839
Li Ni O
2 3 6
Cartesian
2.486 2.832 0.000
2.486 -2.832 0.000
-0.839 0.000 2.419
1.647 1.419 2.419
1.647 -1.419 2.419
-0.057 1.530 3.462
0.770 0.000 1.436
-0.057 -1.530 3.462
3.351 1.530 1.377
2.523 0.000 3.403
3.351 -1.530 1.377
```

Computed properties:
V (Å³ per cell): 103.5
Theoretical density (kg/m³): 4589
Magnetic moment (μB per cell): 2.00
Energy (eV for the cell shown): -53.23
Formation enthalpy at 0 K (eV per atom): -1.284


Q: What is the theoretical density in the fourth record?
A: 4435 kg/m³